No. 1
This record from the Materials Project database describes Nd13Cd58 after structural relaxation. The functional is meta-GGA r2SCAN.

Lattice parameters (Å, degrees): 15.8114 15.8114 15.4719 90.00 90.00 120.00
Space group P6_3/mmc (No. 194)
Symmetry-distinct sites (fractional):
1 Nd 0.0000 0.0000 0.0000 [2 per cell]
2 Nd 0.0870 0.5435 0.2500 [6 per cell]
3 Nd 0.1284 0.2568 0.2500 [6 per cell]
4 Nd 0.2053 0.4106 0.5521 [12 per cell]
5 Cd 0.0000 0.0000 0.2500 [2 per cell]
6 Cd 0.0000 0.1990 0.0000 [12 per cell]
7 Cd 0.0000 0.5000 0.0000 [6 per cell]
8 Cd 0.0355 0.3651 0.1021 [24 per cell]
9 Cd 0.0820 0.3584 0.7500 [12 per cell]
10 Cd 0.0929 0.1859 0.6560 [12 per cell]
11 Cd 0.1227 0.5613 0.6457 [12 per cell]
12 Cd 0.2010 0.6005 0.0512 [12 per cell]
13 Cd 0.2351 0.4703 0.1579 [12 per cell]
14 Cd 0.2675 0.5349 0.7500 [6 per cell]
15 Cd 0.3333 0.6667 0.2500 [2 per cell]
16 Cd 0.3333 0.6667 0.5959 [4 per cell]

For the total energy, the calculation gives -22.113 eV/atom. Its crystal system is hexagonal. The theoretical density comes out at 8.32 g/cm3.

---

No. 2
This record from the Materials Project database describes NdCd11 after structural relaxation. The functional is meta-GGA r2SCAN.

Lattice parameters (Å, degrees): 9.3402 9.3402 9.3402 90.00 90.00 90.00
Space group Pm-3m (No. 221)
Symmetry-distinct sites (fractional):
1 Nd 0.0000 0.0000 0.5000 [3 per cell]
2 Cd 0.0000 0.3451 0.3451 [12 per cell]
3 Cd 0.1574 0.1574 0.1574 [8 per cell]
4 Cd 0.2661 0.2661 0.5000 [12 per cell]
5 Cd 0.5000 0.5000 0.5000 [1 per cell]

For the total energy, the calculation gives -21.063 eV/atom. Its crystal system is cubic. The theoretical density comes out at 8.44 g/cm3.

---

No. 3
This record from the Materials Project database describes Nd3Cd after structural relaxation. The functional is meta-GGA r2SCAN.

Lattice parameters (Å, degrees): 4.8876 4.8876 10.1899 90.00 90.00 90.00
Space group I4/mmm (No. 139)
Symmetry-distinct sites (fractional):
1 Nd 0.0000 0.0000 0.0000 [2 per cell]
2 Nd 0.0000 0.5000 0.2500 [4 per cell]
3 Cd 0.0000 0.0000 0.5000 [2 per cell]

For the total energy, the calculation gives -27.223 eV/atom. Its crystal system is tetragonal. The theoretical density comes out at 7.44 g/cm3.

---

No. 4
This record from the Materials Project database describes NdCdNi4 after structural relaxation. The functional is meta-GGA r2SCAN.

Lattice parameters (Å, degrees): 7.0649 7.0649 7.0649 90.00 90.00 90.00
Space group F-43m (No. 216)
Symmetry-distinct sites (fractional):
1 Nd 0.0000 0.0000 0.0000 [4 per cell]
2 Cd 0.2500 0.2500 0.7500 [4 per cell]
3 Ni 0.1235 0.1235 0.3765 [16 per cell]

For the total energy, the calculation gives -16.487 eV/atom. Its crystal system is cubic. The theoretical density comes out at 9.26 g/cm3.

---

No. 5
This record from the Materials Project database describes Nd4CdPt after structural relaxation. The functional is meta-GGA r2SCAN.

Lattice parameters (Å, degrees): 14.1320 14.1320 14.1320 90.00 90.00 90.00
Space group F-43m (No. 216)
Symmetry-distinct sites (fractional):
1 Nd 0.0000 0.0000 0.1864 [24 per cell]
2 Nd 0.0581 0.2500 0.2500 [24 per cell]
3 Nd 0.1004 0.1004 0.6004 [16 per cell]
4 Cd 0.1700 0.1700 0.8300 [16 per cell]
5 Pt 0.1070 0.1070 0.3930 [16 per cell]

For the total energy, the calculation gives -32.155 eV/atom. Its crystal system is cubic. The theoretical density comes out at 8.33 g/cm3.

---

No. 6
This record from the Materials Project database describes Nd2CdSb4 after structural relaxation. The functional is meta-GGA r2SCAN.

Lattice parameters (Å, degrees): 4.3264 4.3264 11.0731 90.00 90.00 90.00
Space group P-4m2 (No. 115)
Symmetry-distinct sites (fractional):
1 Nd 0.0000 0.5000 0.2333 [2 per cell]
2 Cd 0.5000 0.5000 0.5000 [1 per cell]
3 Sb 0.0000 0.0000 0.0000 [1 per cell]
4 Sb 0.0000 0.5000 0.6682 [2 per cell]
5 Sb 0.5000 0.5000 0.0000 [1 per cell]

For the total energy, the calculation gives -26.804 eV/atom. Its crystal system is tetragonal. The theoretical density comes out at 7.11 g/cm3.

---

No. 7
This record from the Materials Project database describes NdTlCd after structural relaxation. The functional is meta-GGA r2SCAN.

Lattice parameters (Å, degrees): 4.9460 4.9460 7.6246 90.00 90.00 120.00
Space group P6_3/mmc (No. 194)
Symmetry-distinct sites (fractional):
1 Nd 0.0000 0.0000 0.0000 [2 per cell]
2 Tl 0.3333 0.6667 0.2500 [2 per cell]
3 Cd 0.3333 0.6667 0.7500 [2 per cell]

For the total energy, the calculation gives -34.664 eV/atom. Its crystal system is hexagonal. The theoretical density comes out at 9.48 g/cm3.

---

No. 8
This record from the Materials Project database describes Nd2TlCd after structural relaxation. The functional is meta-GGA r2SCAN.

Lattice parameters (Å, degrees): 7.7373 7.7373 7.7373 90.00 90.00 90.00
Space group Fm-3m (No. 225)
Symmetry-distinct sites (fractional):
1 Nd 0.2500 0.2500 0.2500 [8 per cell]
2 Tl 0.0000 0.0000 0.0000 [4 per cell]
3 Cd 0.0000 0.0000 0.5000 [4 per cell]

For the total energy, the calculation gives -33.493 eV/atom. Its crystal system is cubic. The theoretical density comes out at 8.68 g/cm3.

---

No. 9
This record from the Materials Project database describes YbNdCd2 after structural relaxation. The functional is meta-GGA r2SCAN.

Lattice parameters (Å, degrees): 7.5132 7.5132 7.5132 90.00 90.00 90.00
Space group Fm-3m (No. 225)
Symmetry-distinct sites (fractional):
1 Yb 0.0000 0.0000 0.0000 [4 per cell]
2 Nd 0.0000 0.0000 0.5000 [4 per cell]
3 Cd 0.2500 0.2500 0.2500 [8 per cell]

For the total energy, the calculation gives -26.905 eV/atom. Its crystal system is cubic. The theoretical density comes out at 8.49 g/cm3.

---

No. 10
This record from the Materials Project database describes NdZn2Cd after structural relaxation. The functional is meta-GGA r2SCAN.

Lattice parameters (Å, degrees): 6.8946 6.8946 6.8946 90.00 90.00 90.00
Space group Fm-3m (No. 225)
Symmetry-distinct sites (fractional):
1 Nd 0.0000 0.0000 0.0000 [4 per cell]
2 Zn 0.2500 0.2500 0.2500 [8 per cell]
3 Cd 0.0000 0.0000 0.5000 [4 per cell]

For the total energy, the calculation gives -17.177 eV/atom. Its crystal system is cubic. The theoretical density comes out at 7.85 g/cm3.

---

No. 11
This record from the Materials Project database describes CdNiP4O12 after structural relaxation. The functional is meta-GGA r2SCAN.

Lattice parameters (Å, degrees): 11.9408 8.5975 9.7309 90.00 117.90 90.00
Space group C2/c (No. 15)
Symmetry-distinct sites (fractional):
1 Cd 0.0000 0.0508 0.2500 [4 per cell]
2 Ni 0.2500 0.2500 0.5000 [4 per cell]
3 P 0.0074 0.2770 0.9728 [8 per cell]
4 P 0.1926 0.4989 0.7006 [8 per cell]
5 O 0.0479 0.1364 0.9231 [8 per cell]
6 O 0.0564 0.2603 0.4259 [8 per cell]
7 O 0.0821 0.3799 0.6753 [8 per cell]
8 O 0.1282 0.3862 0.0564 [8 per cell]
9 O 0.2101 0.0907 0.3244 [8 per cell]
10 O 0.2351 0.4205 0.3494 [8 per cell]

For the total energy, the calculation gives -9.933 eV/atom. Its crystal system is monoclinic. The theoretical density comes out at 3.66 g/cm3.

---

No. 12
This record from the Materials Project database describes Pr2CdNi2 after structural relaxation. The functional is meta-GGA r2SCAN.

Lattice parameters (Å, degrees): 7.5116 7.5116 3.8587 90.00 90.00 90.00
Space group P4/mbm (No. 127)
Symmetry-distinct sites (fractional):
1 Pr 0.1787 0.3213 0.0000 [4 per cell]
2 Cd 0.0000 0.0000 0.5000 [2 per cell]
3 Ni 0.1141 0.6141 0.5000 [4 per cell]

For the total energy, the calculation gives -20.877 eV/atom. Its crystal system is tetragonal. The theoretical density comes out at 7.80 g/cm3.